(1)
Compound: PrGa3Pd
Source: Materials Project
Functional: PBE-GGA
Structure: relaxed

Cell and atoms, written as CIF:
```
data_PrGa3Pd
_chemical_formula_sum 'Pr2 Ga6 Pd2'
_cell_length_a 4.261
_cell_length_b 4.261
_cell_length_c 10.832
_cell_angle_alpha 90.00
_cell_angle_beta 90.00
_cell_angle_gamma 90.00
_space_group_name_H-M_alt 'I -4 m 2'
_space_group_IT_number 119
_space_group_name_Hall 'I -4 -2'
loop_
_atom_site_label
_atom_site_type_symbol
_atom_site_fract_x
_atom_site_fract_y
_atom_site_fract_z
_atom_site_occupancy
Pr1 Pr 0.000 0.000 0.000 1
Ga1 Ga 0.000 0.000 0.384 1
Ga2 Ga 0.000 0.500 0.250 1
Pd1 Pd 0.000 0.500 0.750 1
```

---

(2)
Compound: MnCrPt6
Source: Materials Project
Functional: PBE-GGA
Structure: relaxed

Cell and atoms, written as CIF:
```
data_MnCrPt6
_chemical_formula_sum 'Mn1 Cr1 Pt6'
_cell_length_a 3.937
_cell_length_b 3.937
_cell_length_c 7.826
_cell_angle_alpha 90.00
_cell_angle_beta 90.00
_cell_angle_gamma 90.00
_space_group_name_H-M_alt 'P 4/m m m'
_space_group_IT_number 123
_space_group_name_Hall '-P 4 2'
loop_
_atom_site_label
_atom_site_type_symbol
_atom_site_fract_x
_atom_site_fract_y
_atom_site_fract_z
_atom_site_occupancy
Mn1 Mn 0.000 0.000 0.000 1
Cr1 Cr 0.000 0.000 0.500 1
Pt1 Pt 0.000 0.500 0.252 1
Pt2 Pt 0.500 0.500 0.000 1
Pt3 Pt 0.500 0.500 0.500 1
```

---

(3)
# Na2ZnP2O7 | Materials Project | PBE-GGA | relaxed
# total magnetization = 0.0 μB per formula unit
# excess energy over the best structure of this formula in the dataset = 0.0000 eV/atom
data_Na2ZnP2O7
_chemical_formula_sum 'Na8 Zn4 P8 O28'
_cell_length_a 7.818
_cell_length_b 7.831
_cell_length_c 12.845
_cell_angle_alpha 90.00
_cell_angle_beta 126.00
_cell_angle_gamma 90.00
_space_group_name_H-M_alt 'P 1 21/c 1'
_space_group_IT_number 14
loop_
_space_group_symop_operation_xyz
'x,y,z'
'-x,-y,-z'
'-x,y+1/2,-z+1/2'
'x,-y+1/2,z+1/2'
loop_
_atom_site_label
_atom_site_type_symbol
_atom_site_fract_x
_atom_site_fract_y
_atom_site_fract_z
_atom_site_occupancy
Na1 Na 0.143 0.143 0.004 1
Na2 Na 0.297 0.700 0.991 1
Zn1 Zn 0.237 0.002 0.749 1
P1 P 0.160 0.137 0.294 1
P2 P 0.422 0.635 0.782 1
O1 O 0.014 0.137 0.148 1
O2 O 0.071 0.049 0.360 1
O3 O 0.253 0.189 0.859 1
O4 O 0.275 0.630 0.636 1
O5 O 0.342 0.111 0.658 1
O6 O 0.376 0.029 0.342 1
O7 O 0.393 0.708 0.343 1

---

(4)
# Sr2MgH8O6 | Materials Project | PBE-GGA | relaxed
# total magnetization = 0.0 μB per formula unit
# excess energy over the best structure of this formula in the dataset = 0.0000 eV/atom
data_Sr2MgH8O6
_chemical_formula_sum 'Sr2 Mg1 H8 O6'
_cell_length_a 3.686
_cell_length_b 6.520
_cell_length_c 9.030
_cell_angle_alpha 95.77
_cell_angle_beta 93.38
_cell_angle_gamma 93.61
_space_group_name_H-M_alt 'P 1'
_space_group_IT_number 1
loop_
_space_group_symop_operation_xyz
'x,y,z'
loop_
_atom_site_label
_atom_site_type_symbol
_atom_site_fract_x
_atom_site_fract_y
_atom_site_fract_z
_atom_site_occupancy
Sr1 Sr 0.000 0.000 0.000 1
Sr2 Sr 0.039 0.362 0.339 1
Mg1 Mg 0.368 0.055 0.615 1
H1 H 0.216 0.545 0.031 1
H2 H 0.363 0.672 0.577 1
H3 H 0.434 0.673 0.861 1
H4 H 0.506 0.050 0.292 1
H5 H 0.545 0.275 0.853 1
H6 H 0.608 0.743 0.406 1
H7 H 0.792 0.534 0.030 1
H8 H 0.948 0.697 0.597 1
O1 O 0.003 0.458 0.068 1
O2 O 0.189 0.740 0.651 1
O3 O 0.485 0.126 0.835 1
O4 O 0.496 0.704 0.968 1
O5 O 0.514 0.127 0.203 1
O6 O 0.597 0.606 0.444 1

---

(5)
Compound: Li8TiO6
Source: Materials Project
Functional: PBE-GGA
Structure: relaxed

Cell and atoms, written as CIF:
```
data_Li8TiO6
_chemical_formula_sum 'Li16 Ti2 O12'
_cell_length_a 5.6044
_cell_length_b 5.6044
_cell_length_c 10.9202
_cell_angle_alpha 90.00
_cell_angle_beta 90.00
_cell_angle_gamma 120.00
_space_group_name_H-M_alt 'P 63 c m'
_space_group_IT_number 185
_space_group_name_Hall 'P 6c -2'
loop_
_atom_site_label
_atom_site_type_symbol
_atom_site_fract_x
_atom_site_fract_y
_atom_site_fract_z
_atom_site_occupancy
Li1 Li 0.0000 0.3170 0.0000 1
Li2 Li 0.0000 0.3955 0.3604 1
Li3 Li 0.3333 0.6667 0.1388 1
Ti1 Ti 0.0000 0.0000 0.2274 1
O1 O 0.0000 0.0000 0.3981 1
O2 O 0.0000 0.3131 0.1809 1
O3 O 0.3333 0.6667 0.4478 1
```

---

(6)
Compound: Na3Au
Source: Materials Project
Functional: PBE-GGA
Structure: relaxed

Cell and atoms, written as CIF:
```
data_Na3Au
_chemical_formula_sum 'Na12 Au4'
_cell_length_a 7.356
_cell_length_b 7.356
_cell_length_c 7.356
_cell_angle_alpha 90.00
_cell_angle_beta 90.00
_cell_angle_gamma 90.00
_space_group_name_H-M_alt 'F m -3 m'
_space_group_IT_number 225
_space_group_name_Hall '-F 4 2 3'
loop_
_atom_site_label
_atom_site_type_symbol
_atom_site_fract_x
_atom_site_fract_y
_atom_site_fract_z
_atom_site_occupancy
Na1 Na 0.000 0.000 0.000 1
Na2 Na 0.250 0.250 0.250 1
Au1 Au 0.000 0.000 0.500 1
```

---

Number 1: raw total energy -4.50 eV per atom, mass density 7.709 Mg/m³. Number 2: raw total energy -7.20 eV per atom, mass density 17.488 Mg/m³. Number 3: raw total energy -6.27 eV per atom, mass density 2.979 Mg/m³. Number 4: raw total energy -5.02 eV per atom, mass density 2.345 Mg/m³. Number 5: raw total energy -5.69 eV per atom, mass density 2.229 Mg/m³. Number 6: raw total energy -1.99 eV per atom, mass density 4.439 Mg/m³.